[1]
First-principles (GGA-PBE) data for crystalline Ti6Ga16Ni7 at its relaxed geometry, as listed in the Materials Project.

Geometry as CIF:
```
data_Ti6Ga16Ni7
_chemical_formula_sum 'Ti24 Ga64 Ni28'
_space_group_name_H-M_alt 'F m -3 m'
_space_group_IT_number 225
_space_group_name_Hall '-F 4 2 3'
_cell_length_a 11.8596
_cell_length_b 11.8596
_cell_length_c 11.8596
_cell_angle_alpha 90.00
_cell_angle_beta 90.00
_cell_angle_gamma 90.00
loop_
_atom_site_label
_atom_site_fract_x
_atom_site_fract_y
_atom_site_fract_z
Ti1 0.0000 0.0000 0.1889
Ga1 0.1210 0.1210 0.3790
Ga2 0.1565 0.1565 0.1565
Ni1 0.0000 0.0000 0.5000
Ni2 0.0000 0.2500 0.2500
```

---

[2]
First-principles (GGA-PBE) data for crystalline Tm3Ga2Ni6 at its relaxed geometry, as listed in the Materials Project.

Geometry as CIF:
```
data_Tm3Ga2Ni6
_chemical_formula_sum 'Tm12 Ga8 Ni24'
_space_group_name_H-M_alt 'I m -3 m'
_space_group_IT_number 229
_space_group_name_Hall '-I 4 2 3'
_cell_length_a 8.8137
_cell_length_b 8.8137
_cell_length_c 8.8137
_cell_angle_alpha 90.00
_cell_angle_beta 90.00
_cell_angle_gamma 90.00
loop_
_atom_site_label
_atom_site_fract_x
_atom_site_fract_y
_atom_site_fract_z
Tm1 0.0000 0.0000 0.2903
Ga1 0.2500 0.2500 0.2500
Ni1 0.0000 0.3386 0.3386
```

---

[3]
First-principles (GGA-PBE) data for crystalline Tm2GaNi2 at its relaxed geometry, as listed in the Materials Project.

Geometry as CIF:
```
data_Tm2GaNi2
_chemical_formula_sum 'Tm4 Ga2 Ni4'
_space_group_name_H-M_alt 'I m m m'
_space_group_IT_number 71
_space_group_name_Hall '-I 2 2'
_cell_length_a 4.1499
_cell_length_b 5.3523
_cell_length_c 8.1593
_cell_angle_alpha 90.00
_cell_angle_beta 90.00
_cell_angle_gamma 90.00
loop_
_atom_site_label
_atom_site_fract_x
_atom_site_fract_y
_atom_site_fract_z
Tm1 0.0000 0.0000 0.2037
Ga1 0.0000 0.5000 0.0000
Ni1 0.0000 0.2726 0.5000
```

---

[4]
First-principles (GGA-PBE) data for crystalline TmGa4Ni at its relaxed geometry, as listed in the Materials Project.

Geometry as CIF:
```
data_TmGa4Ni
_chemical_formula_sum 'Tm4 Ga16 Ni4'
_space_group_name_H-M_alt 'C m c m'
_space_group_IT_number 63
_space_group_name_Hall '-C 2c 2'
_cell_length_a 4.1069
_cell_length_b 15.1483
_cell_length_c 6.5937
_cell_angle_alpha 90.00
_cell_angle_beta 90.00
_cell_angle_gamma 90.00
loop_
_atom_site_label
_atom_site_fract_x
_atom_site_fract_y
_atom_site_fract_z
Tm1 0.0000 0.1198 0.2500
Ga1 0.0000 0.0707 0.7500
Ga2 0.0000 0.3152 0.0510
Ga3 0.0000 0.5000 0.0000
Ni1 0.0000 0.2256 0.7500
```

---

[5]
First-principles (GGA-PBE) data for crystalline Tm4Ga21Ni10 at its relaxed geometry, as listed in the Materials Project.

Geometry as CIF:
```
data_Tm4Ga21Ni10
_chemical_formula_sum 'Tm8 Ga42 Ni20'
_space_group_name_H-M_alt 'C 1 2/m 1'
_space_group_IT_number 12
_cell_length_a 20.7708
_cell_length_b 4.0465
_cell_length_c 15.5064
_cell_angle_alpha 90.00
_cell_angle_beta 123.67
_cell_angle_gamma 90.00
loop_
_space_group_symop_operation_xyz
'x,y,z'
'-x,-y,-z'
'-x,y,-z'
'x,-y,z'
'x+1/2,y+1/2,z'
'-x+1/2,-y+1/2,-z'
'-x+1/2,y+1/2,-z'
'x+1/2,-y+1/2,z'
loop_
_atom_site_label
_atom_site_fract_x
_atom_site_fract_y
_atom_site_fract_z
Tm1 0.1205 0.0000 0.3331
Tm2 0.2309 0.0000 0.8267
Ga1 0.0000 0.5000 0.5000
Ga2 0.0069 0.0000 0.0908
Ga3 0.0396 0.5000 0.3667
Ga4 0.0647 0.0000 0.7956
Ga5 0.1017 0.5000 0.9964
Ga6 0.1150 0.5000 0.7035
Ga7 0.1171 0.0000 0.5517
Ga8 0.1277 0.5000 0.1964
Ga9 0.2019 0.0000 0.0037
Ga10 0.2019 0.5000 0.5029
Ga11 0.2475 0.0000 0.2932
Ni1 0.0020 0.5000 0.1849
Ni2 0.0243 0.0000 0.6066
Ni3 0.1344 0.0000 0.1053
Ni4 0.1531 0.5000 0.8860
Ni5 0.2491 0.5000 0.3846
```

---

[6]
First-principles (GGA-PBE) data for crystalline Tm2Ga3Ni at its relaxed geometry, as listed in the Materials Project.

Geometry as CIF:
```
data_Tm2Ga3Ni
_chemical_formula_sum 'Tm4 Ga6 Ni2'
_space_group_name_H-M_alt 'C 1 m 1'
_space_group_IT_number 8
_cell_length_a 10.1139
_cell_length_b 4.3227
_cell_length_c 6.9987
_cell_angle_alpha 90.00
_cell_angle_beta 132.52
_cell_angle_gamma 90.00
loop_
_space_group_symop_operation_xyz
'x,y,z'
'x,-y,z'
'x+1/2,y+1/2,z'
'x+1/2,-y+1/2,z'
loop_
_atom_site_label
_atom_site_fract_x
_atom_site_fract_y
_atom_site_fract_z
Tm1 0.0000 0.0000 0.0000
Tm2 0.0907 0.0000 0.5928
Ga1 0.1917 0.5000 0.9822
Ga2 0.2187 0.5000 0.4150
Ga3 0.3802 0.0000 0.2004
Ni1 0.3759 0.0000 0.5772
```

---

Going through the records in order, we get calculated formation energy values of -420 -584 -609 -518 -501 -642 meV per atom.